VASP calculation (GGA-PBE) on an optimized crystal structure of K2NaYCl6.

Properties
The formation energy comes out at -2424 meV per atom. Its energy is -4.17 eV/atom. As for the crystal system: cubic.

a = 10.732 Å, b = 10.732 Å, c = 10.732 Å
α = 90.00°, β = 90.00°, γ = 90.00°
Space group Fm-3m (No. 225)
One atom of each set of equivalent atoms:
K1 0.250 0.250 0.250 (multiplicity 8)
Na1 0.000 0.000 0.000 (multiplicity 4)
Y1 0.000 0.000 0.500 (multiplicity 4)
Cl1 0.000 0.000 0.255 (multiplicity 24)


VASP calculation (GGA-PBE) on an optimized crystal structure of KNbCl6.

Properties
The largest piezoelectric modulus is 0.48 C/m2. The formation energy comes out at -1895 meV per atom. For the energy relative to the lowest polymorph listed for this composition, the calculation gives 0.0000 eV/atom. Its energy is -4.22 eV/atom. As for the crystal system: monoclinic.

a = 7.339 Å, b = 10.349 Å, c = 7.365 Å
α = 90.00°, β = 90.03°, γ = 90.00°
Space group P2_1 (No. 4)
One atom of each set of equivalent atoms:
K1 0.244 0.000 0.315 (multiplicity 2)
Nb1 0.253 0.276 0.763 (multiplicity 2)
Cl1 0.019 0.276 0.984 (multiplicity 2)
Cl2 0.024 0.273 0.522 (multiplicity 2)
Cl3 0.248 0.507 0.749 (multiplicity 2)
Cl4 0.252 0.045 0.753 (multiplicity 2)
Cl5 0.479 0.279 0.523 (multiplicity 2)
Cl6 0.482 0.276 0.987 (multiplicity 2)


VASP calculation (GGA-PBE) on an optimized crystal structure of KNb8Cl20.

Properties
The formation energy comes out at -1740 meV per atom. Its energy is -5.42 eV/atom. As for the crystal system: monoclinic.

a = 9.440 Å, b = 18.143 Å, c = 13.658 Å
α = 90.00°, β = 90.07°, γ = 90.00°
Space group Pm (No. 6)
One atom of each set of equivalent atoms:
K1 0.000 0.000 0.000 (multiplicity 1)
K2 0.000 0.000 0.490 (multiplicity 1)
K3 0.358 0.500 0.000 (multiplicity 1)
Nb1 0.032 0.279 0.137 (multiplicity 2)
Nb2 0.032 0.280 0.354 (multiplicity 2)
Nb3 0.060 0.500 0.744 (multiplicity 1)
Nb4 0.100 0.144 0.245 (multiplicity 2)
Nb5 0.259 0.357 0.246 (multiplicity 2)
Nb6 0.301 0.000 0.745 (multiplicity 1)
Nb7 0.326 0.222 0.137 (multiplicity 2)
Nb8 0.327 0.222 0.354 (multiplicity 2)
Nb9 0.516 0.082 0.636 (multiplicity 2)
Nb10 0.516 0.082 0.854 (multiplicity 2)
Nb11 0.622 0.500 0.744 (multiplicity 1)
Nb12 0.733 0.000 0.745 (multiplicity 1)
Nb13 0.842 0.417 0.635 (multiplicity 2)
Nb14 0.842 0.418 0.854 (multiplicity 2)
Cl1 0.015 0.000 0.745 (multiplicity 1)
Cl2 0.099 0.409 0.121 (multiplicity 2)
Cl3 0.100 0.405 0.620 (multiplicity 2)
Cl4 0.101 0.404 0.869 (multiplicity 2)
Cl5 0.101 0.409 0.370 (multiplicity 2)
Cl6 0.179 0.250 0.497 (multiplicity 2)
Cl7 0.179 0.250 0.993 (multiplicity 2)
Cl8 0.256 0.096 0.621 (multiplicity 2)
Cl9 0.256 0.096 0.869 (multiplicity 2)
Cl10 0.258 0.091 0.121 (multiplicity 2)
Cl11 0.259 0.091 0.369 (multiplicity 2)
Cl12 0.342 0.500 0.749 (multiplicity 1)
Cl13 0.366 0.500 0.241 (multiplicity 1)
Cl14 0.444 0.343 0.372 (multiplicity 2)
Cl15 0.446 0.343 0.119 (multiplicity 2)
Cl16 0.512 0.191 0.745 (multiplicity 2)
Cl17 0.515 0.186 0.995 (multiplicity 2)
Cl18 0.516 0.186 0.495 (multiplicity 2)
Cl19 0.521 0.181 0.245 (multiplicity 2)
Cl20 0.527 0.000 0.492 (multiplicity 1)
Cl21 0.528 0.000 0.998 (multiplicity 1)
Cl22 0.582 0.402 0.869 (multiplicity 2)
Cl23 0.583 0.404 0.619 (multiplicity 2)
Cl24 0.776 0.098 0.620 (multiplicity 2)
Cl25 0.776 0.098 0.870 (multiplicity 2)
Cl26 0.831 0.500 0.998 (multiplicity 1)
Cl27 0.832 0.500 0.493 (multiplicity 1)
Cl28 0.837 0.319 0.245 (multiplicity 2)
Cl29 0.842 0.314 0.494 (multiplicity 2)
Cl30 0.842 0.314 0.995 (multiplicity 2)
Cl31 0.845 0.310 0.745 (multiplicity 2)
Cl32 0.912 0.157 0.119 (multiplicity 2)
Cl33 0.912 0.157 0.371 (multiplicity 2)
Cl34 0.991 0.000 0.245 (multiplicity 1)


VASP calculation (GGA-PBE) on an optimized crystal structure of K2NbCl6.

Properties
The formation energy comes out at -1996 meV per atom. Its energy is -4.19 eV/atom. As for the crystal system: tetragonal.

a = 7.063 Å, b = 7.063 Å, c = 10.612 Å
α = 90.00°, β = 90.00°, γ = 90.00°
Space group P4/mnc (No. 128)
One atom of each set of equivalent atoms:
K1 0.000 0.500 0.250 (multiplicity 4)
Nb1 0.000 0.000 0.000 (multiplicity 2)
Cl1 0.000 0.000 0.232 (multiplicity 4)
Cl2 0.196 0.283 0.000 (multiplicity 8)


VASP calculation (GGA-PBE) on an optimized crystal structure of KNbCl6.

Properties
The formation energy comes out at -1894 meV per atom. For the energy relative to the lowest polymorph listed for this composition, the calculation gives 0.0014 eV/atom. Its energy is -4.22 eV/atom. As for the crystal system: trigonal.

a = 7.2950 Å, b = 7.2950 Å, c = 18.5443 Å
α = 90.00°, β = 90.00°, γ = 120.00°
Space group R3m (No. 160, hexagonal axes)
One atom of each set of equivalent atoms:
K1 0.0000 0.0000 0.0000 (multiplicity 3)
Nb1 0.0000 0.0000 0.7146 (multiplicity 3)
Cl1 0.0273 0.5136 0.4566 (multiplicity 9)
Cl2 0.1790 0.3580 0.3079 (multiplicity 9)


VASP calculation (GGA-PBE) on an optimized crystal structure of KNbCl6.

Properties
The formation energy comes out at -1894 meV per atom. For the energy relative to the lowest polymorph listed for this composition, the calculation gives 0.0014 eV/atom. Its energy is -4.22 eV/atom. As for the crystal system: orthorhombic.

a = 7.330 Å, b = 7.507 Å, c = 10.414 Å
α = 90.00°, β = 90.00°, γ = 90.00°
Space group Pmn2_1 (No. 31)
One atom of each set of equivalent atoms:
K1 0.000 0.169 0.000 (multiplicity 2)
Nb1 0.000 0.741 0.285 (multiplicity 2)
Cl1 0.000 0.749 0.513 (multiplicity 2)
Cl2 0.000 0.751 0.055 (multiplicity 2)
Cl3 0.229 0.972 0.282 (multiplicity 4)
Cl4 0.230 0.522 0.283 (multiplicity 4)